VASP calculation (PBE) on an optimized crystal structure of Na6MgS4O16.

Output
Formation enthalpy at 0 K ... -219 kJ/mol of atoms
Uncorrected energy ... -5.759 eV/atom
V ... 702 Å³/cell
E (MP2020) ... -6.17 eV per atom

Structure (POSCAR):
```
Na6MgS4O16
1.0
9.289 0.000 0.000
0.000 8.312 0.000
0.000 3.966 9.088
O S Na Mg
32 8 12 2
Direct
0.105 0.157 0.094
0.897 0.575 0.865
0.255 0.179 0.289
0.916 0.001 0.354
0.406 0.667 0.801
0.605 0.343 0.906
0.307 0.140 0.669
0.185 0.844 0.031
0.755 0.321 0.711
0.084 0.999 0.646
0.094 0.167 0.801
0.895 0.843 0.906
0.807 0.360 0.331
0.906 0.833 0.199
0.103 0.425 0.135
0.395 0.657 0.094
0.603 0.181 0.463
0.693 0.860 0.331
0.397 0.925 0.135
0.897 0.681 0.463
0.245 0.679 0.289
0.584 0.501 0.354
0.193 0.640 0.669
0.315 0.344 0.031
0.745 0.821 0.711
0.815 0.156 0.969
0.594 0.333 0.199
0.685 0.656 0.969
0.416 0.499 0.646
0.397 0.819 0.537
0.103 0.319 0.537
0.603 0.075 0.865
0.353 0.653 0.662
0.194 0.275 0.140
0.853 0.847 0.338
0.647 0.347 0.338
0.806 0.725 0.860
0.694 0.225 0.860
0.147 0.153 0.662
0.306 0.775 0.140
0.637 0.817 0.111
0.515 0.967 0.688
0.349 0.410 0.448
0.863 0.317 0.111
0.363 0.183 0.889
0.849 0.090 0.552
0.137 0.683 0.889
0.015 0.533 0.312
0.151 0.910 0.448
0.485 0.033 0.312
0.985 0.467 0.688
0.651 0.590 0.552
0.500 0.500 0.000
0.000 0.000 0.000
```



VASP calculation (PBE) on an optimized crystal structure of NaMg2S3O12.

Output
Formation enthalpy at 0 K ... -216 kJ/mol of atoms
Uncorrected energy ... -6.024 eV/atom
V ... 491 Å³/cell
E (MP2020) ... -6.48 eV per atom

Structure (POSCAR):
```
NaMg2S3O12
1.0
4.110 7.059 2.921
1.723 6.571 -5.422
-4.662 7.683 0.874
O S Mg Na
24 6 4 2
Direct
0.917 0.781 0.734
0.411 0.072 0.236
0.507 0.617 0.092
0.228 0.088 0.757
0.281 0.018 0.085
0.015 0.291 0.587
0.216 0.883 0.408
0.074 0.412 0.743
0.282 0.572 0.736
0.718 0.428 0.264
0.616 0.518 0.585
0.384 0.482 0.415
0.926 0.588 0.257
0.719 0.982 0.915
0.432 0.719 0.766
0.772 0.912 0.243
0.493 0.383 0.908
0.083 0.219 0.266
0.985 0.709 0.413
0.894 0.209 0.913
0.568 0.281 0.234
0.784 0.117 0.592
0.589 0.928 0.764
0.106 0.791 0.087
0.752 0.956 0.751
0.541 0.456 0.251
0.248 0.044 0.249
0.459 0.544 0.749
0.952 0.750 0.250
0.048 0.250 0.750
0.651 0.148 0.052
0.149 0.648 0.552
0.851 0.352 0.448
0.349 0.852 0.948
0.000 0.500 0.000
0.500 0.000 0.500
```



VASP calculation (PBE) on an optimized crystal structure of NaMg2S3O12.

Output
Formation enthalpy at 0 K ... -216 kJ/mol of atoms
Uncorrected energy ... -6.022 eV/atom
V ... 491 Å³/cell
E (MP2020) ... -6.48 eV per atom

Structure (POSCAR):
```
NaMg2S3O12
1.0
4.306 7.557 0.000
-4.306 7.557 0.000
0.000 5.044 7.540
O Na Mg S
24 2 4 6
Direct
0.277 0.620 0.586
0.019 0.103 0.088
0.496 0.218 0.406
0.768 0.077 0.744
0.411 0.284 0.735
0.589 0.716 0.265
0.232 0.923 0.256
0.782 0.504 0.094
0.620 0.277 0.086
0.504 0.782 0.594
0.284 0.411 0.235
0.923 0.232 0.756
0.981 0.897 0.912
0.565 0.918 0.731
0.897 0.981 0.412
0.380 0.723 0.914
0.077 0.768 0.244
0.103 0.019 0.588
0.082 0.435 0.769
0.716 0.589 0.765
0.918 0.565 0.231
0.723 0.380 0.414
0.435 0.082 0.269
0.218 0.496 0.906
0.500 0.000 0.000
0.000 0.500 0.500
0.655 0.145 0.553
0.145 0.655 0.053
0.855 0.345 0.947
0.345 0.855 0.447
0.948 0.052 0.750
0.537 0.753 0.751
0.052 0.948 0.250
0.753 0.537 0.251
0.247 0.463 0.749
0.463 0.247 0.249
```



VASP calculation (PBE) on an optimized crystal structure of NaMgScS3O12.

Output
Formation enthalpy at 0 K ... -238 kJ/mol of atoms
Uncorrected energy ... -6.509 eV/atom
V ... 1517 Å³/cell
E (MP2020) ... -6.97 eV per atom

Structure (POSCAR):
```
NaMgScS3O12
1.0
-1.274 4.026 7.640
-6.467 -4.593 -3.646
7.112 -18.833 11.109
O S Sc Mg Na
72 18 6 6 6
Direct
0.173 0.977 0.910
0.483 0.123 0.636
0.826 0.023 0.090
0.457 0.150 0.531
0.310 0.841 0.256
0.173 0.196 0.410
0.471 0.160 0.243
0.877 0.517 0.136
0.973 0.184 0.303
0.790 0.974 0.698
0.457 0.307 0.031
0.137 0.493 0.577
0.643 0.136 0.423
0.210 0.027 0.303
0.640 0.123 0.136
0.360 0.877 0.864
0.693 0.150 0.031
0.360 0.483 0.364
0.310 0.469 0.756
0.356 0.863 0.577
0.544 0.850 0.469
0.816 0.790 0.303
0.850 0.543 0.031
0.150 0.456 0.969
0.023 0.196 0.910
0.306 0.850 0.969
0.137 0.644 0.077
0.643 0.508 0.923
0.977 0.174 0.590
0.483 0.360 0.136
0.026 0.816 0.698
0.198 0.174 0.090
0.123 0.640 0.364
0.864 0.508 0.423
0.816 0.027 0.803
0.864 0.357 0.923
0.544 0.694 0.969
0.531 0.841 0.756
0.492 0.357 0.423
0.026 0.210 0.198
0.690 0.529 0.243
0.184 0.210 0.698
0.184 0.974 0.198
0.804 0.827 0.910
0.507 0.644 0.577
0.507 0.863 0.077
0.517 0.877 0.364
0.159 0.469 0.256
0.690 0.160 0.743
0.531 0.690 0.256
0.356 0.493 0.077
0.517 0.640 0.864
0.977 0.802 0.090
0.306 0.456 0.469
0.023 0.827 0.410
0.804 0.977 0.410
0.973 0.790 0.803
0.850 0.307 0.531
0.492 0.136 0.923
0.159 0.690 0.756
0.471 0.310 0.743
0.150 0.694 0.469
0.840 0.529 0.743
0.840 0.310 0.243
0.198 0.023 0.590
0.693 0.543 0.531
0.210 0.184 0.803
0.123 0.483 0.864
0.826 0.802 0.590
0.790 0.816 0.198
0.640 0.517 0.636
0.877 0.360 0.636
0.960 0.623 0.084
0.710 0.706 0.251
0.043 0.373 0.918
0.377 0.337 0.084
0.996 0.290 0.251
0.330 0.957 0.918
0.710 0.004 0.751
0.330 0.373 0.418
0.294 0.290 0.751
0.627 0.670 0.918
0.043 0.670 0.418
0.377 0.040 0.584
0.996 0.706 0.751
0.663 0.623 0.584
0.627 0.957 0.418
0.294 0.004 0.251
0.663 0.040 0.084
0.960 0.337 0.584
0.667 0.333 0.482
0.333 0.667 0.815
0.667 0.333 0.982
0.000 0.000 0.648
0.000 0.000 0.148
0.333 0.667 0.315
0.000 0.000 0.851
0.667 0.333 0.184
0.333 0.667 0.518
0.000 0.000 0.351
0.667 0.333 0.684
0.333 0.667 0.018
0.000 0.000 0.498
0.333 0.667 0.665
0.000 0.000 0.998
0.333 0.667 0.165
0.667 0.333 0.331
0.667 0.333 0.831
```